A plane-wave DFT calculation with PBE was carried out for an optimized crystal structure of ThS2O16.

Cell lengths 12.4723, 7.8553, 15.2493 Å; angles 68.57, 90.00, 90.00 degrees
Element x y z (fractional)
Th  0.6214  0.8065  0.7143
Th  0.8786  0.8065  0.2143
Th  0.3786  0.1935  0.2857
Th  0.1214  0.1935  0.7857
S  0.7162  0.7480  0.5475
S  0.7838  0.7480  0.0475
S  0.2838  0.2520  0.4525
S  0.2162  0.2520  0.9525
S  0.6043  0.1440  0.7606
S  0.8957  0.1440  0.2606
S  0.3957  0.8560  0.2394
S  0.1043  0.8560  0.7394
O  0.8910  0.2542  0.5177
O  0.6090  0.2542  0.0177
O  0.1090  0.7458  0.4823
O  0.3910  0.7458  0.9823
O  0.9062  0.2794  0.9379
O  0.5938  0.2794  0.4379
O  0.0938  0.7206  0.0621
O  0.4062  0.7206  0.5621
O  0.6356  0.6295  0.6254
O  0.8644  0.6295  0.1254
O  0.3644  0.3705  0.3746
O  0.1356  0.3705  0.8746
O  0.4472  0.5616  0.8148
O  0.0528  0.5616  0.3148
O  0.5528  0.4384  0.1852
O  0.9472  0.4384  0.6852
O  0.8099  0.6431  0.5449
O  0.6901  0.6431  0.0449
O  0.1901  0.3569  0.4551
O  0.3099  0.3569  0.9551
O  0.7416  0.8922  0.5938
O  0.7584  0.8922  0.0938
O  0.2584  0.1078  0.4062
O  0.2416  0.1078  0.9062
O  0.6075  0.1120  0.6640
O  0.8925  0.1120  0.1640
O  0.3925  0.8880  0.3360
O  0.1075  0.8880  0.8360
O  0.4180  0.7136  0.8149
O  0.0820  0.7136  0.3149
O  0.5820  0.2864  0.1851
O  0.9180  0.2864  0.6851
O  0.5064  0.2361  0.7673
O  0.9936  0.2361  0.2673
O  0.4936  0.7639  0.2327
O  0.0064  0.7639  0.7327
O  0.7039  0.2243  0.7744
O  0.7961  0.2243  0.2744
O  0.2961  0.7757  0.2256
O  0.2039  0.7757  0.7256
O  0.8060  0.7190  0.8165
O  0.6940  0.7190  0.3165
O  0.1940  0.2810  0.1835
O  0.3060  0.2810  0.6835
O  0.7703  0.5594  0.8397
O  0.7297  0.5594  0.3397
O  0.2297  0.4406  0.1603
O  0.2703  0.4406  0.6603
O  0.6010  0.9365  0.8263
O  0.8990  0.9365  0.3263
O  0.3990  0.0635  0.1737
O  0.1010  0.0635  0.6737
O  0.4311  0.8121  0.6096
O  0.0689  0.8121  0.1096
O  0.5689  0.1879  0.3904
O  0.9311  0.1879  0.8904
O  0.5955  0.4050  0.9563
O  0.9045  0.4050  0.4563
O  0.4045  0.5950  0.0437
O  0.0955  0.5950  0.5437
O  0.6589  0.8366  0.4601
O  0.8411  0.8366  0.9601
O  0.3411  0.1634  0.5399
O  0.1589  0.1634  0.0399

Summary:
corrected total energy (MP2020 scheme) = -453.34 eV for the cell shown
formation enthalpy at 0 K = -0.973 eV per atom
calculated volume = 18.30 A^3/atom
crystal system = monoclinic
size of the total moment = 0.02 μB per atom
total energy = -443.0 eV per cell



A plane-wave DFT calculation with PBE was carried out for an optimized crystal structure of TiSO5.

Cell lengths 5.3086, 6.6538, 11.2026 Å; angles 90.00, 90.00, 90.00 degrees
Element x y z (fractional)
Ti  0.2500  0.8429  0.0560
Ti  0.7500  0.3429  0.4440
Ti  0.2500  0.6571  0.5560
Ti  0.7500  0.1571  0.9440
S  0.2500  0.4756  0.8441
S  0.7500  0.5244  0.1559
S  0.7500  0.9756  0.6559
S  0.2500  0.0244  0.3441
O  0.2500  0.6701  0.9100
O  0.5000  0.5000  0.5000
O  0.2500  0.9756  0.2146
O  0.2500  0.8299  0.4100
O  0.0197  0.3630  0.8715
O  0.4803  0.1370  0.3715
O  0.9803  0.6370  0.1285
O  0.7500  0.3299  0.0900
O  0.5197  0.6370  0.1285
O  0.7500  0.0244  0.7854
O  0.0000  0.0000  0.0000
O  0.7500  0.4756  0.2854
O  0.7500  0.1701  0.5900
O  0.5197  0.8630  0.6285
O  0.0197  0.1370  0.3715
O  0.9803  0.8630  0.6285
O  0.4803  0.3630  0.8715
O  0.5000  0.0000  0.0000
O  0.0000  0.5000  0.5000
O  0.2500  0.5244  0.7146

Summary:
corrected total energy (MP2020 scheme) = -218.21 eV for the cell shown
polymorph energy (0 for the lowest one) = 0.002 eV/atom
formation enthalpy at 0 K = -2.540 eV per atom
calculated volume = 14.13 A^3/atom
crystal system = orthorhombic
total energy = -204.5 eV per cell



A plane-wave DFT calculation with PBE was carried out for an optimized crystal structure of Ti2S3O12.

Cell lengths 8.9988, 8.9988, 8.9988 Å; angles 56.98, 56.98, 56.98 degrees
Element x y z (fractional)
Ti  0.8555  0.8555  0.8555
Ti  0.1445  0.1445  0.1445
Ti  0.6485  0.6485  0.6485
Ti  0.3515  0.3515  0.3515
S  0.0371  0.7507  0.4618
S  0.4618  0.0371  0.7507
S  0.7507  0.4618  0.0371
S  0.9629  0.2493  0.5382
S  0.5382  0.9629  0.2493
S  0.2493  0.5382  0.9629
O  0.0099  0.7903  0.6165
O  0.6165  0.0099  0.7903
O  0.7903  0.6165  0.0099
O  0.9901  0.2097  0.3835
O  0.3835  0.9901  0.2097
O  0.2097  0.3835  0.9901
O  0.8557  0.7599  0.4853
O  0.4853  0.8557  0.7599
O  0.7599  0.4853  0.8557
O  0.1443  0.2401  0.5147
O  0.5147  0.1443  0.2401
O  0.2401  0.5147  0.1443
O  0.0992  0.8943  0.2770
O  0.2770  0.0992  0.8943
O  0.8943  0.2770  0.0992
O  0.9008  0.1057  0.7230
O  0.7230  0.9008  0.1057
O  0.1057  0.7230  0.9008
O  0.1829  0.5600  0.4674
O  0.4674  0.1829  0.5600
O  0.5600  0.4674  0.1829
O  0.8171  0.4400  0.5326
O  0.5326  0.8171  0.4400
O  0.4400  0.5326  0.8171

Summary:
corrected total energy (MP2020 scheme) = -252.61 eV for the cell shown
polymorph energy (0 for the lowest one) = 0.000 eV/atom
formation enthalpy at 0 K = -2.278 eV per atom
calculated volume = 14.10 A^3/atom
crystal system = trigonal
size of the total moment = 0.12 μB per atom
total energy = -236.1 eV per cell



A plane-wave DFT calculation with PBE was carried out for an optimized crystal structure of Ti2S3O12.

Cell lengths 8.7137, 8.6698, 14.7812 Å; angles 54.58, 90.00, 90.00 degrees
Element x y z (fractional)
Ti  0.4624  0.6301  0.6182
Ti  0.9624  0.3699  0.8818
Ti  0.5382  0.1344  0.1165
Ti  0.0382  0.8656  0.3835
Ti  0.9618  0.1344  0.6165
Ti  0.4618  0.8656  0.8835
Ti  0.0376  0.6301  0.1182
Ti  0.5376  0.3699  0.3818
S  0.7525  0.5395  0.4961
S  0.6129  0.2498  0.8515
S  0.8921  0.9575  0.1459
S  0.1129  0.7502  0.6485
S  0.3921  0.0425  0.3541
S  0.2525  0.4605  0.0039
S  0.7475  0.5395  0.9961
S  0.6079  0.9575  0.6459
S  0.8871  0.2498  0.3515
S  0.1079  0.0425  0.8541
S  0.3871  0.7502  0.1485
S  0.2475  0.4605  0.5039
O  0.1387  0.6181  0.4342
O  0.1107  0.2082  0.8595
O  0.3153  0.4777  0.5901
O  0.4149  0.9010  0.1647
O  0.6332  0.5313  0.5690
O  0.7759  0.3085  0.8227
O  0.5827  0.1770  0.9684
O  0.0053  0.9232  0.2303
O  0.7366  0.9826  0.1766
O  0.8336  0.7228  0.4399
O  0.9383  0.1306  0.0379
O  0.5078  0.4106  0.7797
O  0.0078  0.5894  0.7203
O  0.4383  0.8694  0.4621
O  0.3336  0.2772  0.0601
O  0.2366  0.0174  0.3234
O  0.0827  0.8230  0.5316
O  0.5053  0.0768  0.2697
O  0.2759  0.6915  0.6773
O  0.1332  0.4687  0.9310
O  0.8153  0.5223  0.9099
O  0.6107  0.7918  0.6405
O  0.9149  0.0990  0.3353
O  0.6387  0.3819  0.0658
O  0.3613  0.6181  0.9342
O  0.0851  0.9010  0.6647
O  0.3893  0.2082  0.3595
O  0.1847  0.4777  0.0901
O  0.8668  0.5313  0.0690
O  0.7241  0.3085  0.3227
O  0.4947  0.9232  0.7303
O  0.9173  0.1770  0.4684
O  0.7634  0.9826  0.6766
O  0.6664  0.7228  0.9399
O  0.5617  0.1306  0.5379
O  0.9922  0.4106  0.2797
O  0.4922  0.5894  0.2203
O  0.0617  0.8694  0.9621
O  0.1664  0.2772  0.5601
O  0.2634  0.0174  0.8234
O  0.9947  0.0768  0.7697
O  0.4173  0.8230  0.0316
O  0.2241  0.6915  0.1773
O  0.3668  0.4687  0.4310
O  0.5851  0.0990  0.8353
O  0.6847  0.5223  0.4099
O  0.8893  0.7918  0.1405
O  0.8613  0.3819  0.5658

Summary:
corrected total energy (MP2020 scheme) = -504.85 eV for the cell shown
polymorph energy (0 for the lowest one) = 0.005 eV/atom
formation enthalpy at 0 K = -2.273 eV per atom
calculated volume = 13.38 A^3/atom
crystal system = monoclinic
size of the total moment = 0.12 μB per atom
total energy = -471.9 eV per cell



A plane-wave DFT calculation with PBE was carried out for an optimized crystal structure of TiSO5.

Cell lengths 7.4422, 7.4422, 9.6081 Å; angles 89.92, 89.92, 139.09 degrees
Element x y z (fractional)
Ti  0.5886  0.4114  0.2500
Ti  0.4114  0.5886  0.7500
Ti  0.0000  0.5000  0.0000
Ti  0.5000  0.0000  0.5000
S  0.6399  0.8565  0.0657
S  0.1435  0.3601  0.4343
S  0.3601  0.1435  0.9343
S  0.8565  0.6399  0.5657
O  0.8419  0.1466  0.4170
O  0.8534  0.1581  0.0830
O  0.1581  0.8534  0.5830
O  0.1466  0.8419  0.9170
O  0.3452  0.2048  0.0788
O  0.7952  0.6548  0.4212
O  0.6548  0.7952  0.9212
O  0.2048  0.3452  0.5788
O  0.6893  0.7535  0.1682
O  0.2465  0.3107  0.3318
O  0.3107  0.2465  0.8318
O  0.7535  0.6893  0.6682
O  0.4724  0.1305  0.3438
O  0.8695  0.5276  0.1562
O  0.5276  0.8695  0.6562
O  0.1305  0.4724  0.8438
O  0.3646  0.7340  0.0904
O  0.2660  0.6354  0.4096
O  0.6354  0.2660  0.9096
O  0.7340  0.3646  0.5904

Summary:
corrected total energy (MP2020 scheme) = -217.95 eV for the cell shown
polymorph energy (0 for the lowest one) = 0.011 eV/atom
formation enthalpy at 0 K = -2.531 eV per atom
calculated volume = 12.45 A^3/atom
crystal system = monoclinic
total energy = -204.2 eV per cell



A plane-wave DFT calculation with PBE was carried out for an optimized crystal structure of TiSO5.

Cell lengths 5.3165, 11.1080, 26.4143 Å; angles 90.00, 90.00, 90.00 degrees
Element x y z (fractional)
Ti  0.0000  0.0559  0.1531
Ti  0.5000  0.1703  0.9798
Ti  0.0000  0.5636  0.1005
Ti  0.5000  0.1732  0.7275
Ti  0.5000  0.6870  0.7725
Ti  0.5000  0.1870  0.2275
Ti  0.0000  0.5559  0.8469
Ti  0.5000  0.1880  0.4708
Ti  0.0000  0.0766  0.6441
Ti  0.5000  0.6732  0.2725
Ti  0.0000  0.0651  0.3948
Ti  0.0000  0.5766  0.3559
Ti  0.0000  0.0636  0.8995
Ti  0.5000  0.6880  0.5292
Ti  0.5000  0.6703  0.0202
Ti  0.0000  0.5651  0.6052
S  0.0000  0.7699  0.9413
S  0.0000  0.7897  0.6967
S  0.0000  0.2699  0.0587
S  0.0000  0.7866  0.4476
S  0.0000  0.7661  0.1919
S  0.5000  0.4538  0.9261
S  0.5000  0.9627  0.3195
S  0.5000  0.9845  0.5632
S  0.0000  0.2866  0.5524
S  0.5000  0.4845  0.4368
S  0.5000  0.9689  0.8188
S  0.5000  0.9538  0.0739
S  0.0000  0.2661  0.8081
S  0.0000  0.2897  0.3033
S  0.5000  0.4627  0.6805
S  0.5000  0.4689  0.1812
O  0.0000  0.6864  0.6606
O  0.5000  0.8348  0.8155
O  0.7505  0.6096  0.0584
O  0.7704  0.7531  0.4751
O  0.7505  0.1096  0.9416
O  0.2705  0.5072  0.1551
O  0.0000  0.4197  0.5602
O  0.5000  0.0171  0.7659
O  0.5000  0.3513  0.4418
O  0.7298  0.0208  0.5897
O  0.2499  0.1178  0.1916
O  0.7295  0.9741  0.1035
O  0.7701  0.2509  0.0293
O  0.0000  0.8955  0.9223
O  0.5000  0.5638  0.7177
O  0.5000  0.8269  0.0561
O  0.7298  0.5208  0.4103
O  0.7501  0.6178  0.8084
O  0.0000  0.7207  0.1386
O  0.0000  0.2300  0.6038
O  0.7706  0.2266  0.7824
O  0.7501  0.1178  0.1916
O  0.7300  0.9679  0.3503
O  0.2294  0.2266  0.7824
O  0.0000  0.9033  0.6667
O  0.5000  0.3478  0.7094
O  0.5000  0.3348  0.1845
O  0.5000  0.5171  0.2341
O  0.7706  0.7266  0.2176
O  0.5000  0.0321  0.0281
O  0.5000  0.0638  0.2823
O  0.7295  0.5072  0.1551
O  0.2702  0.5208  0.4103
O  0.2296  0.7531  0.4751
O  0.2299  0.2509  0.0293
O  0.7702  0.7854  0.7276
O  0.0000  0.4002  0.8103
O  0.2501  0.1265  0.6854
O  0.7295  0.4741  0.8965
O  0.2702  0.0208  0.5897
O  0.5000  0.0353  0.5109
O  0.7295  0.0072  0.8449
O  0.0000  0.3955  0.0777
O  0.7704  0.2531  0.5249
O  0.0000  0.6906  0.8959
O  0.0000  0.4033  0.3333
O  0.0000  0.9002  0.1897
O  0.2499  0.6178  0.8084
O  0.7499  0.6265  0.3146
O  0.5000  0.8478  0.2906
O  0.5000  0.8513  0.5582
O  0.2298  0.7854  0.7276
O  0.5000  0.3269  0.9439
O  0.2294  0.7266  0.2176
O  0.7701  0.7509  0.9707
O  0.2299  0.7509  0.9707
O  0.2495  0.6096  0.0584
O  0.0000  0.7300  0.3962
O  0.2502  0.1365  0.4299
O  0.0000  0.1864  0.3394
O  0.2495  0.1096  0.9416
O  0.0000  0.1906  0.1041
O  0.0000  0.2207  0.8614
O  0.2298  0.2854  0.2724
O  0.2705  0.4741  0.8965
O  0.7300  0.4679  0.6497
O  0.7498  0.6365  0.5701
O  0.7499  0.1265  0.6854
O  0.0000  0.9197  0.4398
O  0.2705  0.0072  0.8449
O  0.2296  0.2531  0.5249
O  0.7498  0.1365  0.4299
O  0.2705  0.9741  0.1035
O  0.2502  0.6365  0.5701
O  0.7702  0.2854  0.2724
O  0.2700  0.4679  0.6497
O  0.2700  0.9679  0.3503
O  0.2501  0.6265  0.3146
O  0.5000  0.5321  0.9719
O  0.5000  0.5353  0.4891

Summary:
corrected total energy (MP2020 scheme) = -873.05 eV for the cell shown
polymorph energy (0 for the lowest one) = 0.000 eV/atom
formation enthalpy at 0 K = -2.542 eV per atom
calculated volume = 13.93 A^3/atom
crystal system = orthorhombic
total energy = -818.1 eV per cell



A plane-wave DFT calculation with PBE was carried out for an optimized crystal structure of Y2Ti2S2O5.

Cell lengths 3.7960, 3.7960, 11.8532 Å; angles 99.21, 99.21, 90.00 degrees
Element x y z (fractional)
Y  0.6667  0.6667  0.3334
Y  0.3333  0.3333  0.6666
Ti  0.9215  0.9215  0.8430
Ti  0.0785  0.0785  0.1570
S  0.7948  0.7948  0.5895
S  0.2052  0.2052  0.4105
O  0.0000  0.0000  0.0000
O  0.4008  0.9008  0.8016
O  0.0992  0.5992  0.1984
O  0.9008  0.4008  0.8016
O  0.5992  0.0992  0.1984

Summary:
corrected total energy (MP2020 scheme) = -98.00 eV for the cell shown
formation enthalpy at 0 K = -3.296 eV per atom
calculated volume = 15.12 A^3/atom
crystal system = tetragonal
size of the total moment = 0.00 μB per atom
total energy = -93.6 eV per cell